one.
Entry from the Materials Project database: an optimized crystal structure of Mn12O7F17 (PBE+U).

symmetry: P1, No. 1
calculated volume: 12.28 Å³/atom
total magnetic moment: 1.47 μB per atom

Cell lengths 4.803, 5.805, 15.898 Å; angles 89.54, 89.48, 86.08 degrees
Fractional coordinates of all 36 atoms:
F 0.225 0.120 0.019
F 0.785 0.884 0.640
F 0.748 0.391 0.979
F 0.728 0.384 0.647
F 0.230 0.883 0.522
F 0.751 0.620 0.484
F 0.275 0.375 0.866
F 0.300 0.380 0.523
F 0.238 0.098 0.357
F 0.241 0.112 0.684
F 0.772 0.888 0.304
F 0.240 0.879 0.851
F 0.763 0.104 0.135
F 0.226 0.875 0.193
F 0.720 0.612 0.151
F 0.252 0.384 0.190
F 0.734 0.612 0.816
Mn 0.996 0.847 0.414
Mn 0.972 0.143 0.910
Mn 0.996 0.830 0.076
Mn 0.981 0.173 0.252
Mn 0.516 0.349 0.413
Mn 0.987 0.172 0.572
Mn 0.478 0.348 0.079
Mn 0.482 0.644 0.261
Mn 0.001 0.845 0.748
Mn 0.484 0.666 0.594
Mn 0.516 0.685 0.927
Mn 0.489 0.340 0.754
O 0.775 0.108 0.800
O 0.787 0.888 0.972
O 0.779 0.113 0.462
O 0.707 0.395 0.308
O 0.268 0.610 0.703
O 0.268 0.609 0.365
O 0.288 0.630 0.027

=====

two.
Entry from the Materials Project database: an optimized crystal structure of Mn12O7F17 (PBE+U).

symmetry: P1, No. 1
calculated volume: 12.18 Å³/atom
total magnetic moment: 1.47 μB per atom

Cell lengths 5.395, 5.435, 15.096 Å; angles 84.56, 84.41, 88.40 degrees
Fractional coordinates of all 36 atoms:
F 0.709 0.156 0.922
F 0.706 0.659 0.580
F 0.208 0.216 0.416
F 0.820 0.160 0.572
F 0.316 0.620 0.099
F 0.210 0.874 0.244
F 0.360 0.703 0.425
F 0.682 0.130 0.254
F 0.076 0.306 0.749
F 0.575 0.242 0.731
F 0.821 0.338 0.074
F 0.872 0.826 0.413
F 0.702 0.290 0.409
F 0.377 0.688 0.766
F 0.716 0.652 0.913
F 0.341 0.112 0.078
F 0.204 0.866 0.917
Mn 0.537 0.905 0.163
Mn 0.486 0.423 0.996
Mn 0.986 0.590 0.168
Mn 0.013 0.093 0.001
Mn 0.442 0.458 0.326
Mn 0.062 0.021 0.663
Mn 0.523 0.984 0.508
Mn 0.038 0.576 0.839
Mn 0.568 0.955 0.828
Mn 0.036 0.519 0.510
Mn 0.981 0.104 0.328
Mn 0.406 0.489 0.657
O 0.222 0.754 0.599
O 0.130 0.373 0.258
O 0.181 0.358 0.929
O 0.288 0.251 0.586
O 0.844 0.846 0.085
O 0.892 0.821 0.758
O 0.671 0.641 0.234

=====

three.
Entry from the Materials Project database: an optimized crystal structure of Mn12O7F17 (PBE+U).

symmetry: P1, No. 1
calculated volume: 12.25 Å³/atom
total magnetic moment: 1.47 μB per atom

Cell lengths 4.805, 5.801, 15.842 Å; angles 88.81, 89.36, 87.03 degrees
Fractional coordinates of all 36 atoms:
F 0.723 0.615 0.525
F 0.247 0.616 0.978
F 0.761 0.114 0.532
F 0.268 0.398 0.150
F 0.721 0.617 0.195
F 0.730 0.622 0.858
F 0.761 0.896 0.352
F 0.220 0.117 0.307
F 0.753 0.369 0.685
F 0.770 0.851 0.693
F 0.758 0.117 0.854
F 0.251 0.383 0.479
F 0.737 0.880 0.025
F 0.788 0.128 0.184
F 0.241 0.103 0.640
F 0.273 0.618 0.312
F 0.243 0.895 0.806
Mn 0.485 0.336 0.924
Mn 0.049 0.195 0.757
Mn 0.498 0.658 0.417
Mn 0.010 0.159 0.074
Mn 0.488 0.650 0.083
Mn 0.031 0.823 0.583
Mn 0.022 0.839 0.237
Mn 0.492 0.349 0.586
Mn 0.991 0.148 0.418
Mn 0.499 0.639 0.751
Mn 0.993 0.856 0.917
Mn 0.525 0.335 0.260
O 0.219 0.884 0.468
O 0.293 0.593 0.644
O 0.702 0.385 0.028
O 0.304 0.408 0.812
O 0.232 0.890 0.127
O 0.199 0.126 0.968
O 0.721 0.386 0.371

=====

Short version: two is the least stable of them.

=====

one.
Entry from the Materials Project database: an optimized crystal structure of Li4V3OF11 (PBE+U).

symmetry: P1, No. 1
calculated volume: 12.27 Å³/atom
total magnetic moment: 0.11 μB per atom

Cell lengths 5.303, 5.511, 16.175 Å; angles 99.28, 89.88, 90.73 degrees
Fractional coordinates of all 38 atoms:
F 0.661 0.185 0.984
F 0.297 0.144 0.701
F 0.581 0.202 0.453
F 0.375 0.153 0.216
F 0.405 0.449 0.884
F 0.908 0.398 0.782
F 0.323 0.488 0.355
F 0.691 0.836 0.294
F 0.328 0.827 0.032
F 0.131 0.645 0.218
F 0.919 0.714 0.452
F 0.802 0.020 0.647
F 0.703 0.521 0.632
F 0.084 0.968 0.886
F 0.172 0.345 0.035
F 0.578 0.877 0.785
F 0.196 0.975 0.358
F 0.092 0.271 0.551
F 0.812 0.681 0.965
F 0.198 0.646 0.687
F 0.613 0.517 0.116
F 0.424 0.788 0.548
V 0.495 0.507 0.998
V 0.500 0.833 0.666
V 0.520 0.171 0.334
V 0.989 0.641 0.333
V 0.992 0.015 0.008
V 0.000 0.333 0.666
Li 0.482 0.551 0.233
Li 0.684 0.521 0.508
Li 0.835 0.712 0.840
Li 0.540 0.078 0.110
Li 0.315 0.134 0.824
Li 0.958 0.641 0.116
Li 0.012 0.093 0.225
Li 0.203 0.976 0.487
O 0.805 0.346 0.303
O 0.887 0.989 0.114

=====

two.
Entry from the Materials Project database: an optimized crystal structure of Li4V3OF11 (PBE+U).

symmetry: P1, No. 1
calculated volume: 11.10 Å³/atom
total magnetic moment: 0.32 μB per atom

Cell lengths 5.716, 6.385, 6.065 Å; angles 100.63, 97.22, 100.59 degrees
Fractional coordinates of all 19 atoms:
V 0.416 0.661 0.859
V 0.696 0.862 0.379
V 0.992 0.012 0.004
F 0.410 0.590 0.179
F 0.186 0.417 0.611
F 0.818 0.598 0.425
F 0.094 0.731 0.898
F 0.879 0.043 0.683
F 0.943 0.303 0.117
F 0.580 0.153 0.402
F 0.434 0.802 0.582
F 0.614 0.446 0.820
F 0.313 0.136 0.944
F 0.061 0.964 0.329
O 0.675 0.879 0.051
Li 0.601 0.318 0.144
Li 0.133 0.557 0.342
Li 0.841 0.380 0.630
Li 0.316 0.148 0.602

=====

Short version: one is the least stable of them.